PBE-GGA ZnSe, optimized geometry; energy = -2.933 eV per atom
1.0
4.1077 0.0000 0.0000
0.0000 4.1077 0.0000
0.0000 0.0000 6.0704
Zn Se
2 2
direct
0.0000 0.0000 0.0000 Zn
0.5000 0.5000 0.0000 Zn
0.0000 0.5000 0.2463 Se
0.5000 0.0000 0.7537 Se

***

PBE-GGA Ni5As2, optimized geometry; energy = -5.700 eV per atom
1.0
3.4064 -5.9000 0.0000
3.4064 5.9000 0.0000
0.0000 0.0000 12.5173
Ni As
30 12
direct
0.0000 0.0000 0.9500 Ni
0.0000 0.0000 0.4500 Ni
0.3333 0.6667 0.0945 Ni
0.6667 0.3333 0.5945 Ni
0.3333 0.6667 0.5945 Ni
0.6667 0.3333 0.0945 Ni
0.2505 0.0000 0.1215 Ni
0.2505 0.2505 0.6215 Ni
0.0000 0.7495 0.6215 Ni
0.0000 0.2505 0.1215 Ni
0.7495 0.7495 0.1215 Ni
0.7495 0.0000 0.6215 Ni
0.6242 0.0000 0.2196 Ni
0.6242 0.6242 0.7196 Ni
0.0000 0.3758 0.7196 Ni
0.0000 0.6242 0.2196 Ni
0.3758 0.3758 0.2196 Ni
0.3758 0.0000 0.7196 Ni
0.3101 0.0000 0.3285 Ni
0.3101 0.3101 0.8285 Ni
0.0000 0.6899 0.8285 Ni
0.0000 0.3101 0.3285 Ni
0.6899 0.6899 0.3285 Ni
0.6899 0.0000 0.8285 Ni
0.6252 0.0000 0.4322 Ni
0.6252 0.6252 0.9322 Ni
0.0000 0.3748 0.9322 Ni
0.0000 0.6252 0.4322 Ni
0.3748 0.3748 0.4322 Ni
0.3748 0.0000 0.9322 Ni
0.0000 0.0000 0.2546 As
0.0000 0.0000 0.7546 As
0.3333 0.6667 0.2961 As
0.6667 0.3333 0.7961 As
0.3333 0.6667 0.7961 As
0.6667 0.3333 0.2961 As
0.6694 0.0000 0.0229 As
0.6694 0.6694 0.5229 As
0.0000 0.3306 0.5229 As
0.0000 0.6694 0.0229 As
0.3306 0.3306 0.0229 As
0.3306 0.0000 0.5229 As

***

PBE-GGA In2P3Se9, optimized geometry; ΔE to the lowest computed polymorph = 0 meV per atom
1.0
-8.1691 0.0000 0.0000
2.6140 10.9832 0.0000
-0.4386 -1.8505 -17.8861
In P Se
8 12 36
direct
0.1772 0.6549 0.8241 In
0.3280 0.1562 0.6770 In
0.4968 0.6796 0.5095 In
0.5032 0.3204 0.4905 In
0.0165 0.1800 0.9932 In
0.8228 0.3451 0.1759 In
0.9835 0.8200 0.0068 In
0.6720 0.8438 0.3230 In
0.8721 0.4777 0.9711 P
0.4690 0.5234 0.6916 P
0.2054 0.4657 0.6415 P
0.7946 0.5343 0.3585 P
0.3723 0.9679 0.4711 P
0.5310 0.4766 0.3084 P
0.9638 0.0273 0.1897 P
0.1279 0.5223 0.0289 P
0.7005 0.9805 0.1396 P
0.2995 0.0195 0.8604 P
0.0362 0.9727 0.8103 P
0.6277 0.0321 0.5289 P
0.2545 0.7001 0.9855 Se
0.9115 0.4558 0.8501 Se
0.5870 0.3675 0.6498 Se
0.7352 0.6147 0.0188 Se
0.5956 0.7017 0.6553 Se
0.4390 0.5339 0.8132 Se
0.2483 0.4590 0.5171 Se
0.0802 0.2875 0.6776 Se
0.9239 0.3878 0.3242 Se
0.0761 0.6122 0.6758 Se
0.7588 0.2002 0.4815 Se
0.9198 0.7125 0.3224 Se
0.7517 0.5410 0.4829 Se
0.4110 0.9647 0.3499 Se
0.5610 0.4661 0.1868 Se
0.4044 0.2983 0.3447 Se
0.0913 0.8806 0.1515 Se
0.2648 0.3853 0.9812 Se
0.2412 0.1155 0.5145 Se
0.4130 0.6325 0.3502 Se
0.0844 0.2112 0.1515 Se
0.9344 0.0478 0.3113 Se
0.0885 0.5442 0.1499 Se
0.7455 0.9654 0.0154 Se
0.5734 0.8015 0.1740 Se
0.7455 0.2999 0.0145 Se
0.4231 0.8711 0.8220 Se
0.5769 0.1289 0.1780 Se
0.4266 0.1985 0.8260 Se
0.2545 0.0346 0.9846 Se
0.0656 0.9522 0.6887 Se
0.9156 0.7888 0.8485 Se
0.7588 0.8845 0.4855 Se
0.9087 0.1194 0.8485 Se
0.5890 0.0353 0.6501 Se
0.2412 0.7998 0.5185 Se

***

PBE-GGA ScBPt3, optimized geometry; energy = -6.881 eV per atom
1.0
4.2622 0.0000 0.0000
0.0000 4.2622 0.0000
0.0000 0.0000 4.2622
Sc B Pt
1 1 3
direct
0.0000 0.0000 0.0000 Sc
0.5000 0.5000 0.5000 B
0.0000 0.5000 0.5000 Pt
0.5000 0.5000 0.0000 Pt
0.5000 0.0000 0.5000 Pt